Sr6Mn3FeO14, optimized geometry, DFT GGA+U; raw total energy = -6.66 eV per atom; calculated volume = 12.8 A^3/atom; M_tot = 13.1 Bohr magnetons per cell; ρ = 5.23 Mg/m³; energy with MP2020 corrections = -7.359 eV/atom; E_form = -2.552 eV per atom; symmetry = Amm2
1.0
2.7568 -10.1381 0.0000
2.7568 10.1381 0.0000
0.0000 0.0000 5.5104
Sr Mn Fe O
6 3 1 14
Direct
0.4999 0.5001 0.0000
0.9998 0.0002 0.5000
0.8171 0.1829 0.5000
0.3173 0.6827 0.0000
0.6831 0.3170 0.0000
0.1827 0.8173 0.5000
0.9026 0.0974 0.0000
0.0975 0.9025 0.0000
0.5976 0.4024 0.5000
0.4030 0.5970 0.5000
0.8063 0.1937 0.0000
0.3056 0.6944 0.5000
0.6931 0.3069 0.5000
0.1927 0.8073 0.0000
0.5008 0.4992 0.5000
0.0007 0.9993 0.0000
0.6564 0.8479 0.7523
0.1521 0.3436 0.2477
0.1521 0.3436 0.7523
0.6564 0.8479 0.2477
0.8458 0.6541 0.7501
0.3459 0.1542 0.2499
0.3459 0.1542 0.7501
0.8458 0.6541 0.2499

Ta6Mn2FeO18, optimized geometry, DFT GGA+U; raw total energy = -9.31 eV per atom; calculated volume = 12.2 A^3/atom; M_tot = 28.0 Bohr magnetons per cell; ρ = 7.79 Mg/m³; energy with MP2020 corrections = -9.979 eV/atom; E_form = -3.053 eV per atom; symmetry = C2/m
1.0
3.4244 9.9611 0.0000
-3.4244 9.9611 0.0000
0.0000 6.4540 9.6175
Ta Mn Fe O
12 4 2 36
Direct
0.1122 0.1122 0.6097
0.4438 0.4438 0.9446
0.7765 0.7765 0.2777
0.1103 0.1103 0.1114
0.4437 0.4437 0.4429
0.7767 0.7767 0.7768
0.8878 0.8878 0.3903
0.2235 0.2235 0.7223
0.5562 0.5562 0.0554
0.2233 0.2233 0.2232
0.5563 0.5563 0.5571
0.8897 0.8897 0.8886
0.6665 0.6665 0.1663
0.3335 0.3335 0.8337
0.0000 0.0000 0.5000
0.0000 0.0000 0.0000
0.6664 0.6664 0.6675
0.3336 0.3336 0.3325
0.3988 0.8139 0.6062
0.7312 0.1466 0.9405
0.0656 0.4804 0.2717
0.8139 0.3988 0.6062
0.1466 0.7312 0.9405
0.4804 0.0656 0.2717
0.0072 0.0072 0.3008
0.3421 0.3421 0.6345
0.6748 0.6748 0.9680
0.8698 0.8698 0.5774
0.2038 0.2038 0.9104
0.5367 0.5367 0.2431
0.6012 0.1861 0.3938
0.9344 0.5196 0.7283
0.2688 0.8534 0.0595
0.1861 0.6012 0.3938
0.5196 0.9344 0.7283
0.8534 0.2688 0.0595
0.9928 0.9928 0.6992
0.3252 0.3252 0.0320
0.6579 0.6579 0.3655
0.1302 0.1302 0.4226
0.4633 0.4633 0.7569
0.7962 0.7962 0.0896
0.9825 0.3499 0.1671
0.6501 0.0175 0.8329
0.3165 0.6835 0.5000
0.3499 0.9825 0.1671
0.0175 0.6501 0.8329
0.6835 0.3165 0.5000
0.8934 0.8934 0.2119
0.5623 0.5623 0.8750
0.2308 0.2308 0.5399
0.7692 0.7692 0.4601
0.4377 0.4377 0.1250
0.1066 0.1066 0.7881

Mn3Fe3Te2O16, optimized geometry, DFT GGA+U; raw total energy = -6.44 eV per atom; calculated volume = 12.1 A^3/atom; M_tot = 25.0 Bohr magnetons per cell; ρ = 4.84 Mg/m³; energy with MP2020 corrections = -7.384 eV/atom; E_form = -1.619 eV per atom; symmetry = P1
1.0
-5.3851 2.5913 0.4108
0.8060 -4.5934 -3.7965
-2.1336 -5.8315 6.8471
Mn Fe Te O
3 3 2 16
Direct
0.3449 0.1750 0.2106
0.1743 0.3432 0.7117
0.1686 0.8351 0.7045
0.8395 0.1731 0.2063
0.8376 0.6653 0.2097
0.6650 0.8382 0.7104
0.6663 0.3369 0.4867
0.3357 0.6660 0.9869
0.8237 0.1748 0.6005
0.9508 0.4757 0.3536
0.6556 0.3264 0.1067
0.0166 0.0107 0.2984
0.0147 0.0119 0.7971
0.8193 0.6532 0.5988
0.5090 0.0440 0.3429
0.5092 0.4685 0.3424
0.6539 0.8227 0.0981
0.3522 0.1885 0.5980
0.4702 0.5099 0.8430
0.4747 0.9492 0.8513
0.3186 0.6557 0.6100
0.1825 0.3509 0.1011
0.0408 0.4985 0.8473
0.1765 0.8262 0.0995

Ti2Mn3Fe3O16, optimized geometry, DFT GGA+U; raw total energy = -7.18 eV per atom; calculated volume = 11.3 A^3/atom; M_tot = 21.0 Bohr magnetons per cell; ρ = 4.19 Mg/m³; energy with MP2020 corrections = -8.124 eV/atom; E_form = -1.964 eV per atom; symmetry = Cm
1.0
0.3625 -2.7796 -5.1959
0.6415 -5.8649 -0.2176
-8.9507 -1.2056 -0.2457
Ti Mn Fe O
2 3 3 16
Direct
0.6740 0.6740 0.4998
0.3375 0.3375 0.0009
0.8285 0.8285 0.2130
0.6629 0.1690 0.7118
0.1690 0.6629 0.7118
0.8337 0.3310 0.2099
0.3310 0.8337 0.2099
0.1651 0.1651 0.7093
0.8296 0.3359 0.5993
0.5238 0.5238 0.3394
0.6718 0.6718 0.1004
0.9915 0.9915 0.3138
0.9928 0.9928 0.8146
0.3359 0.8296 0.5993
0.9545 0.5266 0.3398
0.5266 0.9545 0.3398
0.1672 0.1672 0.0983
0.8331 0.8331 0.6039
0.4775 0.0475 0.8361
0.0475 0.4775 0.8361
0.3401 0.3401 0.6005
0.6602 0.1633 0.0979
0.4780 0.4780 0.8326
0.1633 0.6602 0.0979

Mn3V6Fe4O24, optimized geometry, DFT GGA+U; raw total energy = -7.40 eV per atom; calculated volume = 13.4 A^3/atom; M_tot = 35.0 Bohr magnetons per cell; ρ = 3.61 Mg/m³; energy with MP2020 corrections = -8.501 eV/atom; E_form = -2.160 eV per atom; symmetry = P-1
1.0
6.7885 0.0000 0.0000
-1.8364 8.1043 0.0000
-2.6728 -3.4142 9.0236
Mn V Fe O
3 6 4 24
Direct
0.7834 0.7958 0.2970
0.5000 0.0000 0.0000
0.2166 0.2042 0.7030
0.6093 0.5983 0.8341
0.9004 0.2349 0.3682
0.0996 0.7651 0.6318
0.7187 0.1580 0.7662
0.2813 0.8420 0.2338
0.3907 0.4017 0.1659
0.5430 0.7064 0.5183
0.1230 0.5464 0.8955
0.4570 0.2936 0.4817
0.8770 0.4536 0.1045
0.0295 0.7238 0.2296
0.0635 0.6358 0.7380
0.3212 0.0591 0.3182
0.9365 0.3642 0.2620
0.6388 0.8107 0.9165
0.1506 0.2503 0.4971
0.6788 0.9409 0.6818
0.9705 0.2762 0.7704
0.7103 0.2033 0.9490
0.5139 0.2176 0.6589
0.2619 0.7046 0.5347
0.4861 0.7824 0.3411
0.3736 0.4774 0.8494
0.7381 0.2954 0.4653
0.4239 0.4458 0.3561
0.6264 0.5226 0.1506
0.8494 0.7497 0.5029
0.2897 0.7967 0.0510
0.2346 0.9804 0.7561
0.3612 0.1893 0.0835
0.5761 0.5542 0.6439
0.8347 0.5400 0.9261
0.7654 0.0196 0.2439
0.1653 0.4600 0.0739

Mn2FeWO6, optimized geometry, DFT GGA+U; raw total energy = -7.53 eV per atom; calculated volume = 11.8 A^3/atom; M_tot = 6.0 Bohr magnetons per cell; ρ = 6.28 Mg/m³; energy with MP2020 corrections = -8.946 eV/atom; E_form = -2.002 eV per atom; symmetry = R3
1.0
1.4345 2.6761 -4.4077
1.4345 -2.6761 -4.4077
-3.5582 0.0000 -4.4077
Mn Fe W O
2 1 1 6
Direct
0.2181 0.2181 0.3457
0.7200 0.7200 0.8400
0.5001 0.5001 0.4997
0.0064 0.0064 0.9809
0.7910 0.1268 0.7127
0.1268 0.3695 0.7127
0.3695 0.7910 0.7127
0.8892 0.6512 0.1958
0.6512 0.2638 0.1958
0.2638 0.8892 0.1958

YMnFeO5, optimized geometry, DFT GGA+U; raw total energy = -7.70 eV per atom; calculated volume = 11.5 A^3/atom; M_tot = 32.0 Bohr magnetons per cell; ρ = 5.04 Mg/m³; energy with MP2020 corrections = -8.618 eV/atom; E_form = -2.513 eV per atom; symmetry = Pbam
1.0
-0.2597 -4.1330 4.0718
5.2169 -3.7935 -3.5178
6.0707 4.1156 4.5647
Y Mn Fe O
4 4 4 20
Direct
0.5000 0.3672 0.3308
0.5000 0.6328 0.6692
0.5000 0.1328 0.8308
0.5000 0.8672 0.1692
0.2506 0.0000 0.5000
0.7494 0.0000 0.5000
0.7494 0.5000 0.0000
0.2506 0.5000 0.0000
0.0000 0.1065 0.1469
0.0000 0.8935 0.8531
0.0000 0.3935 0.6469
0.0000 0.6065 0.3531
0.2329 0.0000 0.0000
0.7671 0.0000 0.0000
0.7671 0.5000 0.5000
0.2329 0.5000 0.5000
0.0000 0.3494 0.0708
0.0000 0.6506 0.9292
0.0000 0.1506 0.5708
0.0000 0.8494 0.4292
0.2588 0.1074 0.2956
0.7412 0.8926 0.7044
0.2588 0.8926 0.7044
0.7412 0.3926 0.7956
0.7412 0.1074 0.2956
0.2588 0.6074 0.2044
0.7412 0.6074 0.2044
0.2588 0.3926 0.7956
0.5000 0.3387 0.0579
0.5000 0.6613 0.9421
0.5000 0.1613 0.5579
0.5000 0.8387 0.4421

Mn3ZnFe8O16, optimized geometry, DFT GGA+U; raw total energy = -6.82 eV per atom; calculated volume = 11.3 A^3/atom; M_tot = 55.0 Bohr magnetons per cell; ρ = 4.89 Mg/m³; energy with MP2020 corrections = -8.034 eV/atom; E_form = -1.760 eV per atom; symmetry = R3m
1.0
-3.9183 4.3359 1.6698
5.5820 1.5063 -1.8745
-0.8778 3.0608 -10.0080
Mn Zn Fe O
3 1 8 16
Direct
0.8126 0.1252 0.5623
0.1876 0.8752 0.4373
0.6871 0.8742 0.9387
0.3127 0.1254 0.0619
0.4999 0.4998 0.5002
0.0001 0.5002 0.9996
0.7502 0.0005 0.2487
0.2492 0.9983 0.7515
0.7502 0.5010 0.2487
0.2492 0.4993 0.7515
0.2508 0.5010 0.2487
0.7501 0.4993 0.7515
0.8814 0.2628 0.3558
0.3799 0.2598 0.8604
0.1086 0.7173 0.1276
0.6072 0.7144 0.6316
0.1086 0.2638 0.1276
0.6072 0.2613 0.6316
0.6552 0.2638 0.1276
0.1541 0.2613 0.6316
0.6190 0.7380 0.1430
0.1191 0.7382 0.6427
0.3928 0.2855 0.3688
0.8942 0.2884 0.8712
0.3928 0.7384 0.3688
0.8942 0.7346 0.8712
0.8457 0.7384 0.3688
0.3404 0.7346 0.8712

MnZn3Fe8O16, optimized geometry, DFT GGA+U; raw total energy = -6.36 eV per atom; calculated volume = 11.3 A^3/atom; M_tot = 45.0 Bohr magnetons per cell; ρ = 4.99 Mg/m³; energy with MP2020 corrections = -7.459 eV/atom; E_form = -1.750 eV per atom; symmetry = P-4m2
1.0
-4.5597 3.9989 -0.4187
-1.0617 -0.5869 5.9570
5.4844 6.4220 1.6101
Mn Zn Fe O
1 3 8 16
Direct
0.5000 0.5000 0.0000
0.0000 0.0000 0.5000
0.5000 0.0000 0.7496
0.0000 0.5000 0.2504
0.5000 0.7508 0.3758
0.0000 0.2496 0.8740
0.2496 0.0000 0.1260
0.7508 0.5000 0.6242
0.7504 0.0000 0.1260
0.2492 0.5000 0.6242
0.5000 0.2492 0.3758
0.0000 0.7504 0.8740
0.5000 0.2710 0.6149
0.0000 0.7702 0.1144
0.2710 0.5000 0.3851
0.7702 0.0000 0.8856
0.7290 0.5000 0.3851
0.2298 0.0000 0.8856
0.5000 0.7290 0.6149
0.0000 0.2298 0.1144
0.5000 0.2222 0.1396
0.0000 0.7301 0.6343
0.7301 0.0000 0.3657
0.2222 0.5000 0.8604
0.2699 0.0000 0.3657
0.7778 0.5000 0.8604
0.5000 0.7778 0.1396
0.0000 0.2699 0.6343

Sr2FeMoNO5, optimized geometry, DFT GGA+U; raw total energy = -6.82 eV per atom; calculated volume = 13.0 A^3/atom; M_tot = 5.0 Bohr magnetons per cell; ρ = 5.39 Mg/m³; energy with MP2020 corrections = -7.709 eV/atom; E_form = -2.132 eV per atom; symmetry = Cm
1.0
3.9620 3.9699 0.0000
-3.9620 3.9699 0.0000
0.0000 3.9614 4.1206
Sr Fe Mo N O
2 1 1 1 5
Direct
0.7709 0.2707 0.4605
0.2707 0.7709 0.4605
0.5129 0.5129 0.9736
0.0225 0.0225 0.9562
0.2416 0.2416 0.5262
0.7413 0.2329 0.0261
0.2329 0.7413 0.0261
0.7340 0.7340 0.5180
0.2264 0.2264 0.0378
0.7469 0.7469 0.0151

Na3Fe2Mo5O16, optimized geometry, DFT GGA+U; raw total energy = -6.67 eV per atom; calculated volume = 13.4 A^3/atom; M_tot = 30.1 Bohr magnetons per cell; ρ = 4.36 Mg/m³; energy with MP2020 corrections = -7.877 eV/atom; E_form = -1.943 eV per atom; distance to the lowest polymorph of the same formula = 0.0 meV/atom; symmetry = P-3m1
1.0
3.0616 -5.3028 0.0000
3.0616 5.3028 0.0000
0.0000 0.0000 21.4857
Na Fe Mo O
6 4 10 32
Direct
0.3333 0.6667 0.6154
0.6667 0.3333 0.3846
0.0000 0.0000 0.0000
0.6667 0.3333 0.8888
0.3333 0.6667 0.1112
0.0000 0.0000 0.5000
0.0000 0.0000 0.3525
0.0000 0.0000 0.8493
0.0000 0.0000 0.6475
0.0000 0.0000 0.1507
0.6667 0.3333 0.5690
0.9975 0.4988 0.2477
0.3333 0.6667 0.4310
0.4988 0.5012 0.7523
0.5012 0.4988 0.2477
0.4988 0.9975 0.7523
0.6667 0.3333 0.0760
0.0025 0.5012 0.7523
0.5012 0.0025 0.2477
0.3333 0.6667 0.9240
0.3336 0.1668 0.5901
0.6664 0.8332 0.4099
0.3236 0.1618 0.0907
0.1618 0.3236 0.9093
0.6600 0.8300 0.1947
0.1771 0.8229 0.7018
0.8332 0.6664 0.5901
0.3333 0.6667 0.5129
0.8382 0.1618 0.0907
0.1668 0.3336 0.4099
0.1700 0.3400 0.1947
0.6764 0.8382 0.9093
0.6667 0.3333 0.1918
0.8229 0.1771 0.2982
0.8300 0.1700 0.8053
0.6667 0.3333 0.4871
0.3333 0.6667 0.8082
0.1771 0.3541 0.7018
0.8332 0.1668 0.5901
0.3333 0.6667 0.2984
0.1700 0.8300 0.1947
0.3333 0.6667 0.0057
0.8300 0.6600 0.8053
0.6667 0.3333 0.7016
0.3541 0.1771 0.2982
0.6459 0.8229 0.7018
0.8229 0.6459 0.2982
0.1668 0.8332 0.4099
0.1618 0.8382 0.9093
0.3400 0.1700 0.8053
0.6667 0.3333 0.9943
0.8382 0.6764 0.0907

NaFeMo2O8, optimized geometry, DFT GGA+U; raw total energy = -6.72 eV per atom; calculated volume = 15.8 A^3/atom; M_tot = 0.0 Bohr magnetons per cell; ρ = 3.50 Mg/m³; energy with MP2020 corrections = -7.899 eV/atom; E_form = -1.977 eV per atom; symmetry = C2/c
1.0
0.0002 -5.3935 -0.0003
-5.0107 2.6969 0.0186
-0.0478 -0.0007 -14.0022
Na Fe Mo O
2 2 4 16
Direct
0.9269 0.9999 0.2500
0.0730 0.0001 0.7500
0.0000 0.9999 0.9999
0.0001 0.0000 0.5001
0.7074 0.3482 0.6178
0.3593 0.6519 0.8822
0.2927 0.6519 0.3824
0.6407 0.3480 0.1176
0.5892 0.8005 0.4613
0.7887 0.1994 0.0386
0.4110 0.1997 0.5387
0.2114 0.8004 0.9613
0.0599 0.3059 0.4155
0.7538 0.6939 0.0845
0.9402 0.6942 0.5848
0.2462 0.3059 0.9152
0.1021 0.8458 0.3847
0.2562 0.1541 0.1153
0.8979 0.1543 0.6155
0.7438 0.8459 0.8845
0.4280 0.6667 0.2677
0.7612 0.3332 0.2323
0.5717 0.3333 0.7324
0.2386 0.6668 0.7676

Question: Which of these has the lowest ρ?
Answer: NaFeMo2O8